No. 1
LiFe2P3O12, optimized geometry, DFT PBE+U; volume = 12.82 A^3/atom; symmetry = No. 13; energy = -488.73 eV for the cell shown; total magnetization = 0.041 μB per atom
1.0
-6.742 -4.630 -2.914
4.073 -7.306 2.184
-5.131 0.443 11.170
Li Fe P O
4 8 12 48
Direct
0.000 0.000 0.500
0.500 0.500 0.500
0.500 0.500 0.000
0.000 0.000 0.000
0.498 0.785 0.854
0.002 0.284 0.358
0.998 0.284 0.858
0.002 0.716 0.142
0.502 0.215 0.146
0.498 0.215 0.646
0.502 0.785 0.354
0.998 0.716 0.642
0.204 0.000 0.750
0.796 0.000 0.250
0.855 0.352 0.604
0.291 0.500 0.750
0.643 0.849 0.605
0.357 0.849 0.105
0.145 0.352 0.104
0.145 0.648 0.396
0.709 0.500 0.250
0.357 0.151 0.395
0.643 0.151 0.895
0.855 0.648 0.896
0.821 0.855 0.590
0.302 0.125 0.694
0.808 0.618 0.188
0.094 0.716 0.287
0.070 0.249 0.015
0.179 0.145 0.410
0.397 0.573 0.838
0.423 0.251 0.489
0.179 0.855 0.090
0.302 0.875 0.806
0.901 0.070 0.340
0.585 0.016 0.604
0.677 0.655 0.914
0.099 0.070 0.840
0.415 0.016 0.104
0.821 0.145 0.910
0.323 0.655 0.414
0.906 0.284 0.713
0.585 0.984 0.896
0.415 0.984 0.396
0.406 0.764 0.210
0.103 0.476 0.407
0.677 0.345 0.586
0.897 0.524 0.593
0.603 0.573 0.338
0.577 0.749 0.511
0.070 0.751 0.485
0.930 0.249 0.515
0.094 0.284 0.213
0.323 0.345 0.086
0.698 0.875 0.306
0.406 0.236 0.290
0.594 0.236 0.790
0.099 0.930 0.660
0.423 0.749 0.011
0.103 0.524 0.093
0.930 0.751 0.985
0.906 0.716 0.787
0.897 0.476 0.907
0.577 0.251 0.989
0.603 0.427 0.162
0.397 0.427 0.662
0.594 0.764 0.710
0.698 0.125 0.194
0.808 0.382 0.312
0.192 0.618 0.688
0.192 0.382 0.812
0.901 0.930 0.160

---

No. 2
LiFeP2O7, optimized geometry, DFT PBE+U; volume = 11.79 A^3/atom; symmetry = No. 1; energy = -605.23 eV for the cell shown; total magnetization = 0.455 μB per atom
1.0
-8.963 3.424 1.373
-3.412 -6.334 -6.573
0.496 -8.183 7.651
Li Fe P O
8 8 16 56
Direct
0.836 0.430 0.467
0.583 0.597 0.020
0.661 0.924 0.534
0.379 0.045 0.498
0.346 0.125 0.964
0.081 0.903 0.023
0.176 0.593 0.545
0.118 0.288 0.454
0.796 0.917 0.325
0.755 0.211 0.171
0.762 0.722 0.828
0.700 0.420 0.678
0.296 0.586 0.320
0.252 0.289 0.174
0.261 0.772 0.831
0.198 0.074 0.677
0.981 0.447 0.246
0.886 0.713 0.117
0.932 0.919 0.755
0.875 0.146 0.580
0.621 0.642 0.422
0.569 0.422 0.234
0.483 0.053 0.249
0.613 0.212 0.886
0.389 0.789 0.116
0.520 0.951 0.750
0.430 0.583 0.755
0.377 0.353 0.585
0.123 0.857 0.422
0.071 0.078 0.238
0.101 0.283 0.886
0.019 0.547 0.749
0.979 0.420 0.378
0.968 0.849 0.430
0.916 0.083 0.260
0.897 0.586 0.212
0.907 0.338 0.158
0.812 0.821 0.181
0.783 0.664 0.998
0.956 0.252 0.898
0.878 0.069 0.707
0.919 0.898 0.887
0.865 0.541 0.774
0.817 0.290 0.595
0.825 0.815 0.683
0.788 0.058 0.481
0.710 0.558 0.524
0.670 0.310 0.298
0.677 0.789 0.407
0.637 0.038 0.226
0.631 0.565 0.296
0.577 0.427 0.102
0.530 0.753 0.096
0.712 0.165 0.005
0.677 0.328 0.823
0.611 0.085 0.791
0.586 0.586 0.738
0.598 0.836 0.828
0.529 0.347 0.572
0.476 0.081 0.378
0.512 0.941 0.615
0.465 0.648 0.429
0.401 0.154 0.153
0.415 0.413 0.261
0.401 0.910 0.215
0.312 0.677 0.174
0.286 0.847 0.998
0.466 0.235 0.900
0.413 0.609 0.886
0.372 0.433 0.712
0.368 0.963 0.781
0.314 0.208 0.597
0.326 0.687 0.680
0.277 0.433 0.485
0.211 0.942 0.526
0.163 0.196 0.306
0.182 0.713 0.406
0.137 0.463 0.227
0.091 0.077 0.109
0.134 0.936 0.299
0.029 0.748 0.100
0.207 0.324 0.006
0.180 0.169 0.827
0.099 0.660 0.833
0.104 0.410 0.794
0.087 0.911 0.735
0.031 0.161 0.567
0.022 0.559 0.616

---

No. 3
LiFe2P2O8, optimized geometry, DFT PBE+U; volume = 14.31 A^3/atom; symmetry = No. 7; energy = -180.01 eV for the cell shown; total magnetization = 0.692 μB per atom
1.0
6.888 0.000 0.000
0.000 5.194 0.000
0.000 0.171 10.402
Li Fe P O
2 4 4 16
Direct
0.751 0.262 0.640
0.249 0.262 0.140
0.773 0.758 0.836
0.247 0.246 0.674
0.227 0.758 0.336
0.753 0.246 0.174
0.513 0.252 0.910
0.020 0.746 0.596
0.487 0.252 0.410
0.980 0.746 0.096
0.989 0.797 0.948
0.562 0.965 0.879
0.681 0.408 0.837
0.317 0.323 0.853
0.836 0.879 0.661
0.205 0.863 0.650
0.003 0.452 0.627
0.486 0.304 0.555
0.011 0.797 0.448
0.438 0.965 0.379
0.319 0.408 0.337
0.683 0.323 0.353
0.164 0.879 0.161
0.795 0.863 0.150
0.997 0.452 0.127
0.514 0.304 0.055

---

No. 4
LiFeP2O7, optimized geometry, DFT PBE+U; volume = 12.43 A^3/atom; energy = -303.00 eV for the cell shown; total magnetization = 0.000 μB per atom
1.0
6.031 -1.414 3.330
3.710 -0.733 -8.685
0.854 8.215 2.883
Li Fe P O
4 4 8 28
Direct
0.000 0.000 0.000
0.500 0.500 0.500
0.750 0.750 0.250
0.250 0.250 0.750
0.921 0.230 0.464
0.078 0.770 0.536
0.421 0.730 0.964
0.579 0.270 0.036
0.586 0.022 0.241
0.086 0.522 0.742
0.914 0.478 0.258
0.414 0.978 0.759
0.178 0.948 0.261
0.678 0.449 0.761
0.322 0.551 0.239
0.822 0.052 0.739
0.557 0.150 0.182
0.057 0.650 0.682
0.943 0.350 0.318
0.443 0.850 0.818
0.637 0.873 0.108
0.137 0.373 0.608
0.863 0.627 0.392
0.363 0.127 0.892
0.595 0.600 0.792
0.095 0.100 0.292
0.905 0.900 0.708
0.405 0.400 0.208
0.196 0.869 0.076
0.696 0.369 0.576
0.304 0.631 0.424
0.804 0.131 0.924
0.391 0.983 0.331
0.891 0.483 0.831
0.109 0.517 0.169
0.609 0.017 0.669
0.231 0.560 0.875
0.731 0.060 0.375
0.269 0.940 0.625
0.769 0.440 0.125
0.436 0.649 0.153
0.936 0.149 0.653
0.064 0.851 0.347
0.564 0.351 0.847

---

No. 5
Li3Fe2P3O12, optimized geometry, DFT PBE+U; volume = 11.61 A^3/atom; symmetry = No. 5; energy = -269.57 eV for the cell shown; total magnetization = 0.500 μB per atom
1.0
-4.289 -5.515 5.020
-2.151 -7.661 -3.270
4.118 -6.921 2.854
Li Fe P O
6 4 6 24
Direct
0.494 0.004 0.226
0.350 0.650 0.500
0.996 0.506 0.774
0.653 0.347 0.000
0.249 0.155 0.595
0.845 0.751 0.405
0.354 0.863 0.102
0.137 0.646 0.898
0.852 0.351 0.602
0.649 0.148 0.398
0.748 0.551 0.200
0.449 0.252 0.800
0.049 0.951 0.500
0.955 0.045 0.000
0.539 0.749 0.703
0.251 0.461 0.297
0.205 0.507 0.124
0.992 0.883 0.944
0.579 0.732 0.204
0.381 0.699 0.719
0.905 0.571 0.010
0.691 0.388 0.235
0.429 0.095 0.990
0.268 0.421 0.796
0.069 0.759 0.656
0.117 0.008 0.056
0.763 0.066 0.160
0.493 0.795 0.876
0.488 0.188 0.639
0.241 0.931 0.344
0.889 0.987 0.439
0.934 0.237 0.840
0.732 0.589 0.686
0.568 0.912 0.514
0.301 0.619 0.281
0.088 0.432 0.486
0.612 0.309 0.765
0.411 0.268 0.314
0.013 0.111 0.561
0.812 0.512 0.361

---

No. 6
LiFePO4, optimized geometry, DFT PBE+U; volume = 13.55 A^3/atom; symmetry = No. 2; energy = -190.62 eV for the cell shown; total magnetization = 0.571 μB per atom
1.0
-1.026 -0.900 5.728
7.445 0.665 0.348
-3.230 8.632 -0.824
Li Fe P O
4 4 4 16
Direct
0.997 0.991 0.751
0.004 0.009 0.249
0.868 0.484 0.106
0.132 0.515 0.894
0.501 0.014 0.757
0.499 0.985 0.242
0.625 0.508 0.364
0.375 0.492 0.636
0.184 0.751 0.439
0.816 0.249 0.561
0.304 0.250 0.061
0.697 0.750 0.939
0.556 0.372 0.138
0.444 0.628 0.862
0.359 0.612 0.455
0.641 0.388 0.545
0.938 0.633 0.355
0.062 0.367 0.645
0.751 0.880 0.837
0.249 0.120 0.163
0.123 0.375 0.048
0.877 0.625 0.952
0.185 0.871 0.604
0.814 0.129 0.396
0.304 0.124 0.897
0.696 0.877 0.103
0.739 0.121 0.656
0.261 0.879 0.344

---

No. 7
LiFeP2O7, optimized geometry, DFT PBE+U; volume = 11.41 A^3/atom; symmetry = No. 11; energy = -304.65 eV for the cell shown; total magnetization = 0.455 μB per atom
1.0
8.385 0.000 0.000
0.000 6.701 0.000
0.000 2.175 8.939
Li Fe P O
4 4 8 28
Direct
0.077 0.735 0.249
0.923 0.265 0.751
0.577 0.265 0.751
0.423 0.735 0.249
0.442 0.751 0.750
0.058 0.751 0.750
0.942 0.249 0.250
0.558 0.249 0.250
0.750 0.501 0.444
0.250 0.499 0.556
0.750 0.924 0.526
0.750 0.575 0.972
0.750 0.003 0.053
0.250 0.425 0.028
0.250 0.997 0.947
0.250 0.076 0.474
0.250 0.257 0.557
0.250 0.238 0.950
0.097 0.979 0.856
0.403 0.979 0.856
0.597 0.021 0.144
0.903 0.021 0.144
0.750 0.762 0.050
0.750 0.388 0.107
0.100 0.422 0.122
0.400 0.422 0.122
0.250 0.869 0.106
0.100 0.082 0.379
0.400 0.082 0.379
0.750 0.115 0.393
0.597 0.481 0.353
0.900 0.578 0.878
0.250 0.623 0.396
0.750 0.743 0.443
0.903 0.481 0.353
0.750 0.377 0.604
0.097 0.519 0.647
0.403 0.519 0.647
0.250 0.885 0.607
0.600 0.918 0.621
0.900 0.918 0.621
0.750 0.131 0.894
0.600 0.578 0.878
0.250 0.612 0.893

---

Across the entries above, E above lowest polymorph takes the values 1 83 23 74 44 41 36 meV/atom, respectively.
Across the entries above, energy relative to the elements takes the values -2249 -2443 -2366 -2452 -2463 -2439 -2490 meV per atom, respectively.